Entry from the Materials Project: a geometry-optimized Na2TbO3 structure (PBE).

Computed properties:
Calculated total energy = -5.586 eV/atom
Total magnetization = 0.164 μB/atom
Volume = 1758 Å³/cell
Crystal system = triclinic
SG = P-1, No. 2

abc: 7.4068 7.2345 41.3221
angles: 100.01 100.61 121.46
Sites, in units of the cell vectors:
Tb 0.2114 0.7296 0.1232
Tb 0.5753 0.4444 0.2914
Tb 0.1004 0.9540 0.2081
Tb 0.5693 0.4372 0.4591
Tb 0.4307 0.5628 0.7076
Tb 0.4337 0.5695 0.3757
Tb 0.5663 0.4305 0.7910
Tb 0.0506 0.8943 0.0420
Tb 0.0680 0.9332 0.5419
Tb 0.8996 0.0460 0.9586
Tb 0.0650 0.9345 0.8742
Tb 0.0680 0.9294 0.3751
Tb 0.9320 0.0706 0.7916
Tb 0.4361 0.5682 0.5421
Tb 0.0673 0.9343 0.7079
Tb 0.9494 0.1057 0.1247
Tb 0.5639 0.4318 0.6246
Tb 0.4247 0.5556 0.8753
Tb 0.9327 0.0657 0.4588
Tb 0.4230 0.5792 0.2087
Tb 0.7886 0.2704 0.0435
Tb 0.5770 0.4208 0.9580
Tb 0.9350 0.0655 0.2924
Tb 0.9320 0.0668 0.6248
O 0.3532 0.8471 0.8549
O 0.6443 0.1410 0.9783
O 0.4505 0.2589 0.0615
O 0.1390 0.6458 0.3950
O 0.5495 0.7411 0.1052
O 0.6390 0.1448 0.6444
O 0.2012 0.0559 0.7709
O 0.1874 0.0253 0.1043
O 0.6385 0.1444 0.8112
O 0.8901 0.3716 0.1050
O 0.3928 0.9156 0.0213
O 0.5591 0.7189 0.2709
O 0.3557 0.8590 0.1884
O 0.6486 0.1533 0.4769
O 0.1572 0.6628 0.2267
O 0.7098 0.5341 0.0212
O 0.9428 0.7936 0.8127
O 0.5582 0.7094 0.4376
O 0.1423 0.6522 0.8942
O 0.0225 0.1865 0.0207
O 0.9379 0.7815 0.9797
O 0.7984 0.9473 0.5624
O 0.2975 0.4472 0.3119
O 0.7180 0.5772 0.1897
O 0.6072 0.0844 0.1454
O 0.6468 0.1529 0.3118
O 0.8610 0.3542 0.7717
O 0.2065 0.0566 0.4384
O 0.2939 0.4394 0.8118
O 0.0621 0.2185 0.1869
O 0.4409 0.2811 0.8958
O 0.9775 0.8135 0.1460
O 0.8126 0.9747 0.0624
O 0.0539 0.2111 0.8538
O 0.7025 0.5528 0.8547
O 0.9461 0.7889 0.3128
O 0.9418 0.7927 0.6459
O 0.7988 0.9441 0.3957
O 0.8577 0.3478 0.2725
O 0.4481 0.3027 0.2295
O 0.4418 0.2906 0.7290
O 0.2952 0.4408 0.6452
O 0.7935 0.9434 0.7283
O 0.0550 0.2077 0.6872
O 0.2016 0.0527 0.6043
O 0.3615 0.8556 0.3554
O 0.4465 0.2941 0.5628
O 0.7061 0.5606 0.3549
O 0.5519 0.6973 0.9372
O 0.2089 0.0585 0.2711
O 0.0582 0.2073 0.5208
O 0.7911 0.9415 0.8956
O 0.2820 0.4228 0.9770
O 0.1482 0.6526 0.7264
O 0.8017 0.9478 0.2282
O 0.4447 0.2942 0.3961
O 0.8645 0.3582 0.6054
O 0.2902 0.4659 0.1454
O 0.0572 0.2064 0.3539
O 0.5553 0.7058 0.7706
O 0.7048 0.5592 0.5215
O 0.1099 0.6284 0.0617
O 0.9450 0.7923 0.4795
O 0.2947 0.4433 0.4781
O 0.7053 0.5567 0.6885
O 0.3514 0.8467 0.6898
O 0.1983 0.0522 0.9385
O 0.1355 0.6418 0.5612
O 0.8428 0.3372 0.9400
O 0.3610 0.8552 0.5222
O 0.8518 0.3474 0.4402
O 0.5535 0.7059 0.6039
Na 0.1376 0.3688 0.9181
Na 0.4986 0.9952 0.9140
Na 0.2532 0.7469 0.4587
Na 0.9971 0.4980 0.8328
Na 0.6436 0.8733 0.5011
Na 0.6351 0.8640 0.8335
Na 0.8623 0.6398 0.5841
Na 0.5014 0.0048 0.2526
Na 0.0535 0.5304 0.9977
Na 0.4961 0.9966 0.4166
Na 0.1331 0.3633 0.2495
Na 0.7690 0.6372 0.0834
Na 0.2497 0.7430 0.6242
Na 0.5039 0.0034 0.7501
Na 0.8659 0.6375 0.7504
Na 0.6398 0.8708 0.3339
Na 0.4086 0.5839 0.0410
Na 0.1340 0.3637 0.7492
Na 0.7468 0.2531 0.7079
Na 0.2531 0.7485 0.7914
Na 0.3903 0.1954 0.1662
Na 0.6097 0.8046 0.0005
Na 0.3639 0.1344 0.5003
Na 0.3602 0.1292 0.8328
Na 0.9970 0.4978 0.6660
Na 0.7208 0.2037 0.2085
Na 0.8669 0.6367 0.9172
Na 0.7469 0.2515 0.3753
Na 0.0030 0.5022 0.5007
Na 0.5914 0.4161 0.1257
Na 0.8624 0.6312 0.2486
Na 0.2792 0.7963 0.9582
Na 0.7503 0.2570 0.5425
Na 0.3564 0.1267 0.6656
Na 0.8660 0.6363 0.4174
Na 0.3385 0.1715 0.0019
Na 0.1341 0.3625 0.4162
Na 0.6361 0.8656 0.6664
Na 0.5000 0.0000 0.5833
Na 0.0029 0.5020 0.3339
Na 0.3649 0.1360 0.3331
Na 0.6615 0.8285 0.1647
Na 0.2469 0.7458 0.2921
Na 0.7531 0.2542 0.8746
Na 0.9465 0.4696 0.1689
Na 0.1377 0.3602 0.5826
Na 0.5000 0.0000 0.0833
Na 0.2310 0.3628 0.0833